## MgNb2Rh2O8 (PBE-GGA)

Data for a relaxed structure of MgNb2Rh2O8.

```
MgNb2Rh2O8
1.0
-0.416 5.448 2.955
-0.384 5.455 -2.973
-5.122 0.413 -2.936
O Nb Mg Rh
8 2 1 2
Cartesian
-1.853 3.869 0.106
-2.156 9.378 -0.105
-1.284 6.173 -1.442
-4.363 4.987 -1.644
-4.068 7.384 -2.850
-4.090 7.340 -0.103
-4.263 4.754 -4.224
-1.655 6.472 1.599
-0.696 5.465 0.255
-3.541 8.711 -1.351
-2.815 5.800 -2.717
-5.328 5.762 -0.016
-2.753 2.899 -1.531
```

Computed properties:
energy = -7.611 eV per atom
space group = P1 (1)



## Mg2Nb10Si9S9O72 (PBE-GGA)

Data for a relaxed structure of Mg2Nb10Si9S9O72.

```
Mg2Nb10Si9S9O72
1.0
8.872 0.010 0.008
-4.427 7.709 -0.017
0.020 -0.039 22.891
O Nb S Si Mg
72 10 9 9 2
Cartesian
3.765 6.170 6.908
7.867 1.365 6.898
-3.448 6.417 9.208
6.037 2.749 21.347
-0.628 3.521 5.870
6.067 2.804 14.664
2.806 7.478 15.950
-1.571 4.892 8.198
1.677 0.182 6.900
5.036 1.069 9.752
7.213 0.178 2.176
-0.980 6.376 22.320
-0.669 6.702 13.137
5.471 1.125 16.973
-2.817 7.512 20.742
5.107 6.291 18.425
1.608 4.850 19.633
7.195 0.194 18.366
0.931 1.265 2.205
-0.540 6.609 19.666
6.159 2.354 5.501
3.775 6.136 13.542
-2.769 7.479 4.498
-1.060 6.470 5.867
2.852 7.512 9.207
5.093 6.167 2.171
-1.529 5.368 17.375
1.005 3.863 8.209
0.665 3.506 17.314
3.783 4.172 12.148
2.791 2.808 3.270
5.017 4.025 17.012
1.028 1.353 18.348
1.706 5.377 5.893
-3.445 6.469 15.862
1.043 6.375 10.841
3.873 1.029 21.212
3.383 1.173 12.154
0.611 6.612 8.198
2.884 2.745 9.836
0.641 1.547 15.940
1.715 4.967 13.128
0.579 3.618 10.819
5.151 0.967 3.152
-0.576 3.584 22.263
2.735 2.295 16.922
6.052 2.341 12.045
7.992 1.234 13.619
1.120 6.443 17.311
5.092 4.230 0.741
5.560 1.190 0.743
5.518 3.980 3.143
3.476 6.426 20.759
3.416 6.364 4.518
3.411 1.154 5.539
-0.902 3.822 13.062
-0.602 1.435 20.661
-1.576 5.403 10.824
1.636 5.347 22.279
3.793 4.181 5.559
2.851 2.339 0.616
-0.640 1.532 4.501
0.893 3.851 1.659
3.759 0.938 14.572
0.629 1.484 9.205
0.717 6.714 1.737
1.691 0.181 13.532
-1.703 5.007 1.738
3.343 3.940 14.550
3.506 3.847 21.232
5.386 3.859 9.768
-1.005 3.858 19.668
4.341 2.512 22.236
8.877 -0.002 8.269
4.564 2.530 10.879
4.496 7.588 19.660
0.027 0.029 3.207
0.033 -0.024 14.779
-0.018 5.062 11.957
-0.066 5.107 18.559
0.054 5.054 0.396
0.029 5.124 7.196
5.678 0.360 1.950
2.556 0.002 5.712
6.330 -0.015 17.181
1.317 2.180 17.165
3.178 4.759 13.373
5.733 4.761 1.944
7.583 2.206 5.707
3.192 5.487 5.708
3.188 0.352 13.385
5.698 5.410 17.139
1.958 2.645 1.964
1.325 2.940 9.558
2.527 5.122 20.911
1.257 7.301 9.565
-2.504 5.114 9.543
6.982 2.538 13.443
-1.234 7.258 20.982
-1.266 2.866 20.940
4.538 2.615 15.803
4.392 2.590 4.278
```

Computed properties:
energy = -7.520 eV per atom
space group = P1 (1)



## Mg2Nb2SiS5O24 (PBE-GGA)

Data for a relaxed structure of Mg2Nb2SiS5O24.

```
Mg2Nb2SiS5O24
1.0
-0.667 7.665 -4.274
-1.630 -7.543 -4.212
-21.790 1.419 5.901
O Nb Si Mg S
72 6 3 6 15
Cartesian
-2.738 -3.792 -2.864
-15.114 1.879 -1.074
-7.177 -3.642 -3.279
-10.179 1.605 -1.156
-10.653 3.409 -3.366
-7.123 -0.764 -3.657
-10.238 -5.402 -1.200
-6.166 0.125 -5.680
-6.606 1.599 -3.769
-17.646 3.507 -1.477
-6.487 -1.920 -1.111
-16.566 -4.929 0.497
-15.682 0.745 2.443
-4.626 -1.028 0.175
-9.927 4.352 -0.780
-21.413 2.400 0.573
-22.616 0.280 0.465
-2.603 6.256 -3.095
-17.304 -0.256 -3.262
-3.967 1.536 -6.944
-22.721 -2.664 0.845
-18.113 7.205 1.137
-13.302 -1.879 0.613
-12.105 3.097 0.498
-1.383 4.218 -3.503
-2.451 0.371 -0.909
-6.287 4.487 -3.509
-21.625 1.229 -1.523
-10.990 -0.544 -5.203
-8.443 0.737 -5.058
-14.159 -2.983 -1.816
-4.402 3.052 -5.103
-20.187 0.341 0.252
-18.332 -1.184 -1.289
-3.354 -2.535 -5.432
-19.696 -1.504 2.465
-9.020 -3.288 -1.060
-8.955 -0.447 -1.483
-13.765 7.145 -1.381
-20.689 4.134 2.785
-13.027 2.215 2.534
-14.386 3.728 1.157
-5.990 -5.695 -3.653
-3.996 1.319 -2.796
-19.467 2.631 -2.768
-13.885 -0.104 -1.480
-21.325 5.244 0.225
-12.870 1.991 -2.081
-17.964 1.380 3.074
-9.327 0.403 0.766
-7.526 6.531 -3.127
-17.564 -0.086 1.190
-2.099 2.418 -5.684
-17.825 -2.904 0.895
-9.559 -2.186 -3.593
-20.096 -0.065 4.400
-2.601 -1.005 -3.170
-14.713 1.142 -3.384
-11.991 -1.616 -2.931
-16.890 5.148 0.843
-11.455 -3.365 -0.817
-11.182 -0.493 -0.469
-1.377 1.408 -3.141
-16.996 2.266 1.044
-3.617 4.164 -2.465
-21.488 -4.709 0.451
-6.789 1.809 0.802
-20.484 -2.557 -0.135
-12.529 4.805 -1.757
-15.145 4.725 -1.529
-21.963 -0.918 3.125
-5.826 2.780 -1.188
-11.424 3.412 -1.426
-22.276 3.913 1.578
-18.878 -1.335 0.555
-3.088 0.186 0.790
-8.100 -2.037 -2.477
-12.795 -1.689 -1.169
-11.078 -1.773 -4.268
-2.726 0.437 -2.613
-14.019 5.720 -1.973
-18.579 1.201 5.026
-14.711 8.533 -0.483
-15.982 3.607 -0.236
-5.072 2.834 -3.146
-1.766 -2.431 -4.087
-8.414 8.151 -2.169
-9.917 0.289 -0.544
-16.994 1.177 2.000
-7.100 0.503 -4.565
-6.598 5.818 -3.982
-16.842 6.510 1.330
-2.348 4.855 -2.508
-14.206 1.304 -2.043
-21.495 1.002 -0.098
-13.080 3.348 1.645
-21.752 -3.354 0.015
-3.484 2.792 -6.192
-20.632 -1.176 3.632
-10.203 -4.108 -0.570
-5.672 2.534 0.222
-18.164 3.291 -2.807
```

Computed properties:
energy = -6.815 eV per atom
space group = P1 (1)



## Mg2Nb2SbO8 (PBE-GGA)

Data for a relaxed structure of Mg2Nb2SbO8.

```
Mg2Nb2SbO8
1.0
-1.074 -0.045 5.264
0.596 -5.955 0.093
9.791 4.014 1.253
O Sb Nb Mg
16 2 4 4
Cartesian
3.235 -1.776 5.114
3.944 -3.415 2.505
7.706 -1.626 6.246
1.414 -3.456 0.792
5.347 1.435 4.087
6.593 -2.955 1.171
5.928 -1.716 3.780
6.052 -0.200 1.490
0.745 -2.282 3.404
7.839 1.461 5.813
3.337 -0.258 2.804
2.694 0.970 5.420
1.532 -5.258 3.090
8.550 0.297 3.210
7.732 3.299 3.552
1.593 -0.359 0.359
9.708 2.025 2.622
9.387 -0.047 5.262
6.558 2.723 5.002
7.479 -1.236 2.415
1.803 -0.756 4.191
2.742 -4.733 1.630
4.189 -3.433 4.544
4.546 -1.615 1.885
5.109 1.458 2.058
4.744 -0.361 4.725
```

Computed properties:
energy = -7.438 eV per atom
space group = P1 (1)



## Mg2Nb2SbO8 (PBE-GGA)

Data for a relaxed structure of Mg2Nb2SbO8.

```
Mg2Nb2SbO8
1.0
2.993 10.225 0.000
-2.993 10.225 0.000
0.000 0.396 5.358
O Mg Sb Nb
16 4 2 4
Cartesian
2.468 8.928 4.171
-0.607 9.384 4.616
2.468 11.918 1.187
-0.840 14.607 4.714
0.626 16.925 3.694
-0.840 6.239 0.644
-0.629 16.707 1.016
0.604 9.173 1.928
-0.629 4.139 4.342
-0.607 11.462 0.742
0.626 3.921 1.664
-2.471 12.105 3.866
0.831 6.456 3.312
0.604 11.673 3.431
0.831 14.390 2.047
-2.471 8.741 1.492
-0.906 15.086 2.734
0.893 14.907 0.061
0.893 5.939 5.298
-0.906 5.759 2.625
-1.006 10.423 2.679
1.055 10.225 0.000
-2.009 8.087 5.265
2.011 12.985 2.776
2.011 7.861 2.582
-2.009 12.759 0.094
```

Computed properties:
energy = -7.437 eV per atom
space group = C2 (5)



## MgSc2Nb2O8 (PBE-GGA)

Data for a relaxed structure of MgSc2Nb2O8.

```
MgSc2Nb2O8
1.0
5.274 -0.532 -0.296
-0.775 5.216 0.188
-0.335 0.186 6.205
O Sc Mg Nb
8 2 1 2
Cartesian
0.751 4.760 2.139
4.103 -0.401 0.070
0.762 2.331 4.055
3.273 2.521 5.122
0.889 2.132 0.862
3.435 2.594 1.863
0.068 4.976 5.582
3.464 0.159 3.606
1.803 4.011 5.009
1.887 1.421 2.573
2.718 4.417 2.069
-0.455 3.658 0.757
4.758 1.136 5.063
```

Computed properties:
energy = -8.437 eV per atom
space group = P1 (1)



## MgSc2Nb2O8 (PBE-GGA)

Data for a relaxed structure of MgSc2Nb2O8.

```
MgSc2Nb2O8
1.0
-2.557 3.952 2.005
-4.136 -3.101 0.270
1.632 -1.703 5.436
O Nb Sc Mg
8 2 2 1
Cartesian
-2.942 -0.357 6.484
-3.724 0.366 3.549
-3.867 -2.287 2.761
-2.047 2.563 2.240
-1.306 -1.295 4.094
-2.162 -0.595 1.285
-1.243 1.530 4.960
-2.933 -3.354 5.542
0.353 -2.223 4.689
-2.874 -2.563 0.962
-1.720 0.582 3.044
-3.346 -1.430 4.653
-4.209 -0.528 1.776
```

Computed properties:
energy = -8.391 eV per atom
space group = P2 (3)



## MgSc2Nb2O8 (PBE-GGA)

Data for a relaxed structure of MgSc2Nb2O8.

```
MgSc2Nb2O8
1.0
5.130 -0.046 0.000
-0.191 5.138 0.000
0.000 0.000 5.955
O Sc Mg Nb
8 2 1 2
Cartesian
3.703 3.039 2.248
3.858 0.325 3.781
0.932 4.682 5.134
1.140 4.623 2.248
3.919 0.401 0.757
3.911 2.980 5.134
1.177 2.199 3.781
1.115 2.122 0.757
2.422 3.831 4.017
2.517 1.262 2.034
-0.144 3.854 3.586
-0.144 3.854 0.809
-0.048 1.285 5.227
```

Computed properties:
energy = -8.424 eV per atom
space group = P2 (3)



Calculated E_form in order - -2.179, -2.647, -2.351, -2.698, -2.697, -3.163, -3.118, -3.151 eV per atom
Calculated size of the total moment in order - 0.0, 0.0, 0.0, 1.0, 1.0, 0.0, 1.9, 1.9 μB/f.u.